DFT (PBE) results for a relaxed Er4TaV7B24 crystal.

## Properties
calculated total energy = -7.7950 eV/atom

Unit cell a=3.333 b=8.898 c=11.240 alpha=89.98 beta=90.00 gamma=90.00
Positions (direct):
B (0.000, 0.873, 0.820)
B (0.000, 0.406, 0.525)
B (0.000, 0.131, 0.180)
B (0.000, 0.519, 0.784)
B (0.000, 0.055, 0.434)
B (0.000, 0.626, 0.321)
B (0.000, 0.261, 0.419)
B (0.000, 0.241, 0.917)
B (0.000, 0.019, 0.716)
B (0.000, 0.098, 0.023)
B (0.000, 0.981, 0.286)
B (0.000, 0.798, 0.238)
B (0.000, 0.700, 0.736)
B (0.000, 0.481, 0.216)
B (0.000, 0.553, 0.067)
B (0.000, 0.594, 0.475)
B (0.000, 0.740, 0.582)
B (0.000, 0.905, 0.972)
B (0.000, 0.756, 0.081)
B (0.000, 0.200, 0.764)
B (0.000, 0.945, 0.567)
B (0.000, 0.445, 0.933)
B (0.000, 0.373, 0.679)
B (0.000, 0.301, 0.264)
Er (0.500, 0.180, 0.585)
Er (0.500, 0.322, 0.085)
Er (0.500, 0.678, 0.914)
Er (0.500, 0.820, 0.416)
V (0.500, 0.554, 0.629)
V (0.500, 0.643, 0.185)
V (0.500, 0.446, 0.371)
V (0.500, 0.855, 0.684)
V (0.500, 0.054, 0.871)
V (0.500, 0.355, 0.815)
V (0.500, 0.147, 0.317)
Ta (0.500, 0.946, 0.128)

DFT (PBE) results for a relaxed ErVB4 crystal.

## Properties
calculated total energy = -7.4588 eV/atom

Unit cell a=3.413 b=5.992 c=11.593 alpha=90.00 beta=90.00 gamma=90.00
Positions (direct):
B (0.000, 0.615, 0.048)
B (0.000, 0.713, 0.314)
B (0.000, 0.523, 0.193)
B (0.000, 0.287, 0.686)
B (0.000, 0.865, 0.968)
B (0.000, 0.213, 0.186)
B (0.000, 0.477, 0.807)
B (0.000, 0.635, 0.468)
B (0.000, 0.885, 0.548)
B (0.000, 0.135, 0.032)
B (0.000, 0.365, 0.532)
B (0.000, 0.115, 0.452)
B (0.000, 0.023, 0.307)
B (0.000, 0.385, 0.952)
B (0.000, 0.977, 0.693)
B (0.000, 0.787, 0.814)
V (0.500, 0.628, 0.917)
V (0.500, 0.128, 0.583)
V (0.500, 0.872, 0.417)
V (0.500, 0.372, 0.083)
Er (0.500, 0.624, 0.651)
Er (0.500, 0.124, 0.849)
Er (0.500, 0.376, 0.349)
Er (0.500, 0.876, 0.151)

DFT (PBE) results for a relaxed ErB4W crystal.

## Properties
calculated total energy = -7.9790 eV/atom

Unit cell a=3.611 b=6.019 c=11.629 alpha=90.00 beta=90.00 gamma=90.00
Positions (direct):
B (0.500, 0.133, 0.968)
B (0.500, 0.115, 0.548)
B (0.500, 0.975, 0.306)
B (0.500, 0.475, 0.194)
B (0.500, 0.213, 0.813)
B (0.500, 0.713, 0.687)
B (0.500, 0.367, 0.468)
B (0.500, 0.025, 0.694)
B (0.500, 0.385, 0.048)
B (0.500, 0.867, 0.032)
B (0.500, 0.885, 0.452)
B (0.500, 0.787, 0.187)
B (0.500, 0.615, 0.952)
B (0.500, 0.633, 0.532)
B (0.500, 0.525, 0.806)
B (0.500, 0.287, 0.313)
W (0.000, 0.369, 0.915)
W (0.000, 0.631, 0.085)
W (0.000, 0.131, 0.415)
W (0.000, 0.869, 0.585)
Er (0.000, 0.374, 0.649)
Er (0.000, 0.126, 0.149)
Er (0.000, 0.874, 0.851)
Er (0.000, 0.626, 0.351)